(1)
Compound: ZnC2N6Cl2O2
Source: the Materials Project
Functional: PBE
Structure: optimized geometry

**E**: -0.23802 Ha/atom
**Symmetry**: No. 14
**Magnetization**: 0.15 μB/atom
**ΔH_f (0 K)**: -0.173 eV per atom
**Volume**: 24.1 Å³/atom

Cell: 8.468 6.167 12.632 Å, 71.88 90.00 90.00°
Element x y z (fractional)
Zn (0.500, 0.000, 0.500)
Zn (0.000, 0.000, 0.000)
N (0.062, 0.940, 0.297)
N (0.390, 0.351, 0.944)
N (0.438, 0.940, 0.797)
N (0.766, 0.695, 0.530)
N (0.266, 0.305, 0.970)
N (0.562, 0.060, 0.203)
N (0.734, 0.695, 0.030)
N (0.610, 0.649, 0.056)
N (0.938, 0.060, 0.703)
N (0.890, 0.649, 0.556)
N (0.110, 0.351, 0.444)
N (0.234, 0.305, 0.470)
Cl (0.123, 0.764, 0.138)
Cl (0.877, 0.236, 0.862)
Cl (0.623, 0.236, 0.362)
Cl (0.377, 0.764, 0.638)
O (0.823, 0.128, 0.119)
O (0.323, 0.872, 0.381)
O (0.177, 0.872, 0.881)
O (0.677, 0.128, 0.619)
C (0.305, 0.907, 0.837)
C (0.805, 0.093, 0.663)
C (0.195, 0.907, 0.337)
C (0.695, 0.093, 0.163)


(2)
Compound: SbP3CN3Cl15
Source: the Materials Project
Functional: PBE
Structure: optimized geometry

**E**: -0.15184 Ha/atom
**Symmetry**: No. 2
**ΔH_f (0 K)**: -0.952 eV per atom
**E above lowest polymorph**: 0 meV per atom
**Volume**: 28.7 Å³/atom

Cell: 9.385 10.839 13.401 Å, 86.40 88.84 75.92°
Element x y z (fractional)
Cl (0.245, 0.305, 0.880)
Cl (0.189, 0.763, 0.493)
Cl (0.611, 0.835, 0.311)
Cl (0.314, 0.104, 0.179)
Cl (0.018, 0.828, 0.943)
Cl (0.316, 0.419, 0.179)
Cl (0.982, 0.172, 0.057)
Cl (0.311, 0.923, 0.947)
Cl (0.307, 0.084, 0.436)
Cl (0.686, 0.896, 0.821)
Cl (0.999, 0.959, 0.330)
Cl (0.580, 0.192, 0.309)
Cl (0.364, 0.461, 0.703)
Cl (0.323, 0.629, 0.949)
Cl (0.389, 0.165, 0.689)
Cl (0.636, 0.539, 0.297)
Cl (0.689, 0.077, 0.053)
Cl (0.315, 0.397, 0.437)
Cl (0.420, 0.808, 0.691)
Cl (0.693, 0.916, 0.564)
Cl (0.685, 0.603, 0.563)
Cl (0.001, 0.041, 0.670)
Cl (0.990, 0.336, 0.669)
Cl (0.046, 0.312, 0.304)
Cl (0.684, 0.581, 0.821)
Cl (0.677, 0.371, 0.051)
Cl (0.010, 0.664, 0.331)
Cl (0.811, 0.237, 0.507)
Cl (0.755, 0.695, 0.120)
Cl (0.954, 0.688, 0.696)
P (0.866, 0.213, 0.650)
P (0.214, 0.790, 0.006)
P (0.409, 0.295, 0.782)
P (0.591, 0.705, 0.218)
P (0.134, 0.787, 0.350)
P (0.786, 0.210, 0.994)
C (0.307, 0.762, 0.189)
C (0.693, 0.238, 0.811)
N (0.194, 0.787, 0.123)
N (0.554, 0.264, 0.846)
N (0.806, 0.213, 0.877)
N (0.282, 0.764, 0.288)
N (0.446, 0.736, 0.154)
N (0.718, 0.236, 0.712)
Sb (0.688, 0.748, 0.690)
Sb (0.312, 0.252, 0.310)


(3)
Compound: SbP3CN3Cl15
Source: the Materials Project
Functional: PBE
Structure: optimized geometry

**E**: -0.14495 Ha/atom
**Symmetry**: No. 2
**Magnetization**: 0.00 μB/atom
**ΔH_f (0 K)**: -0.765 eV per atom
**E above lowest polymorph**: 188 meV per atom
**Volume**: 34.0 Å³/atom

Cell: 9.816 12.096 13.862 Å, 84.28 87.91 72.83°
Element x y z (fractional)
P (0.408, 0.279, 0.790)
P (0.870, 0.196, 0.666)
P (0.592, 0.721, 0.210)
P (0.779, 0.212, 0.986)
P (0.221, 0.788, 0.014)
P (0.130, 0.804, 0.334)
Cl (0.403, 0.161, 0.700)
Cl (0.670, 0.362, 0.033)
Cl (0.704, 0.907, 0.558)
Cl (0.296, 0.105, 0.167)
Cl (0.736, 0.725, 0.107)
Cl (0.165, 0.809, 0.475)
Cl (0.311, 0.906, 0.950)
Cl (0.674, 0.568, 0.287)
Cl (0.357, 0.691, 0.706)
Cl (0.368, 0.854, 0.682)
Cl (0.835, 0.191, 0.525)
Cl (0.316, 0.383, 0.464)
Cl (0.296, 0.093, 0.442)
Cl (0.330, 0.638, 0.967)
Cl (0.326, 0.432, 0.713)
Cl (0.983, 0.688, 0.700)
Cl (0.029, 0.829, 0.957)
Cl (0.632, 0.146, 0.318)
Cl (0.597, 0.839, 0.300)
Cl (0.704, 0.895, 0.833)
Cl (0.714, 0.581, 0.835)
Cl (0.286, 0.419, 0.165)
Cl (0.971, 0.171, 0.043)
Cl (0.689, 0.094, 0.050)
Cl (0.643, 0.309, 0.294)
Cl (0.353, 0.533, 0.412)
Cl (0.684, 0.617, 0.536)
Cl (0.264, 0.275, 0.893)
Cl (0.647, 0.467, 0.588)
Cl (0.017, 0.312, 0.300)
N (0.447, 0.737, 0.157)
N (0.553, 0.263, 0.843)
N (0.797, 0.211, 0.871)
N (0.713, 0.228, 0.712)
N (0.203, 0.789, 0.129)
N (0.287, 0.772, 0.288)
C (0.312, 0.766, 0.190)
C (0.688, 0.234, 0.810)
Sb (0.274, 0.245, 0.288)
Sb (0.726, 0.755, 0.712)


(4)
Compound: PbCSNCl
Source: the Materials Project
Functional: PBE
Structure: optimized geometry

**E**: -0.21021 Ha/atom
**Symmetry**: No. 62
**Magnetization**: 0.00 μB/atom
**ΔH_f (0 K)**: -0.491 eV per atom
**Volume**: 21.8 Å³/atom

Cell: 4.325 9.824 10.264 Å, 90.00 90.00 90.00°
Element x y z (fractional)
C (0.750, 0.859, 0.517)
C (0.750, 0.641, 0.017)
C (0.250, 0.359, 0.983)
C (0.250, 0.141, 0.483)
Pb (0.750, 0.080, 0.190)
Pb (0.250, 0.580, 0.310)
Pb (0.750, 0.420, 0.690)
Pb (0.250, 0.920, 0.810)
S (0.750, 0.809, 0.364)
S (0.250, 0.309, 0.136)
S (0.750, 0.691, 0.864)
S (0.250, 0.191, 0.636)
Cl (0.750, 0.396, 0.403)
Cl (0.750, 0.104, 0.903)
Cl (0.250, 0.896, 0.097)
Cl (0.250, 0.604, 0.597)
N (0.750, 0.604, 0.127)
N (0.750, 0.896, 0.627)
N (0.250, 0.396, 0.873)
N (0.250, 0.104, 0.373)


(5)
Compound: PbC2S2N4Cl2
Source: the Materials Project
Functional: PBE
Structure: optimized geometry

**E**: -0.20773 Ha/atom
**Symmetry**: No. 33
**Magnetization**: 0.00 μB/atom
**ΔH_f (0 K)**: 0.371 eV per atom
**Volume**: 31.8 Å³/atom

Cell: 4.706 15.108 19.695 Å, 90.00 90.00 90.00°
Element x y z (fractional)
S (0.751, 0.424, 0.108)
S (0.740, 0.054, 0.177)
S (0.240, 0.554, 0.323)
S (0.251, 0.924, 0.392)
S (0.249, 0.924, 0.892)
S (0.760, 0.054, 0.677)
S (0.260, 0.554, 0.823)
S (0.749, 0.424, 0.608)
N (0.718, 0.513, 0.651)
N (0.782, 0.513, 0.151)
N (0.027, 0.646, 0.659)
N (0.973, 0.146, 0.341)
N (0.601, 0.894, 0.605)
N (0.408, 0.453, 0.442)
N (0.218, 0.013, 0.849)
N (0.092, 0.453, 0.942)
N (0.592, 0.953, 0.558)
N (0.899, 0.894, 0.105)
N (0.473, 0.646, 0.159)
N (0.527, 0.146, 0.841)
N (0.908, 0.953, 0.058)
N (0.282, 0.013, 0.349)
N (0.399, 0.394, 0.395)
N (0.101, 0.394, 0.895)
Cl (0.257, 0.733, 0.464)
Cl (0.243, 0.733, 0.964)
Cl (0.743, 0.233, 0.536)
Cl (0.277, 0.248, 0.210)
Cl (0.777, 0.748, 0.290)
Cl (0.757, 0.233, 0.036)
Cl (0.223, 0.248, 0.710)
Cl (0.723, 0.748, 0.790)
C (0.168, 0.481, 0.876)
C (0.668, 0.981, 0.624)
C (0.885, 0.582, 0.653)
C (0.332, 0.481, 0.376)
C (0.615, 0.582, 0.153)
C (0.115, 0.082, 0.347)
C (0.385, 0.082, 0.847)
C (0.832, 0.981, 0.124)
Pb (0.251, 0.305, 0.592)
Pb (0.751, 0.805, 0.908)
Pb (0.749, 0.805, 0.408)
Pb (0.249, 0.305, 0.092)


(6)
Compound: Rb2PtC4N4Cl2
Source: the Materials Project
Functional: PBE
Structure: optimized geometry

**E**: -0.24038 Ha/atom
**Symmetry**: No. 2
**Magnetization**: 0.00 μB/atom
**ΔH_f (0 K)**: -0.329 eV per atom
**Volume**: 24.2 Å³/atom

Cell: 7.108 9.602 9.980 Å, 89.07 104.16 107.41°
Element x y z (fractional)
C (0.292, 0.501, 0.322)
C (0.936, 0.074, 0.167)
C (0.708, 0.499, 0.678)
C (0.851, 0.795, 0.039)
C (0.149, 0.205, 0.961)
C (0.064, 0.926, 0.833)
C (0.603, 0.720, 0.494)
C (0.397, 0.280, 0.506)
N (0.895, 0.116, 0.262)
N (0.762, 0.677, 0.061)
N (0.656, 0.846, 0.486)
N (0.828, 0.490, 0.779)
N (0.105, 0.884, 0.738)
N (0.238, 0.323, 0.939)
N (0.172, 0.510, 0.221)
N (0.344, 0.154, 0.514)
Rb (0.127, 0.824, 0.432)
Rb (0.873, 0.176, 0.568)
Rb (0.712, 0.344, 0.048)
Rb (0.288, 0.656, 0.952)
Pt (0.500, 0.500, 0.500)
Pt (0.000, 0.000, 0.000)
Cl (0.689, 0.021, 0.861)
Cl (0.311, 0.979, 0.139)
Cl (0.264, 0.528, 0.621)
Cl (0.736, 0.472, 0.379)